First-principles (GGA+U) data for a relaxed structure of Li2FeSiO4, as listed in the Materials Project.

SG   P2_1 (4)
Total DFT energy (no corrections)   -6.6037 eV/atom
ΔH_f (0 K)   -2.541 eV/atom
Magnetic moment   4.0 μB/f.u.

Lattice parameters (Å, degrees): 10.806 5.405 6.289 88.78 90.00 90.00
Element x y z (fractional)
O 0.839 0.998 0.718
O 0.340 0.996 0.718
O 0.579 0.877 0.018
O 0.339 0.002 0.282
O 0.558 0.049 0.505
O 0.424 0.623 0.499
O 0.840 0.004 0.282
O 0.924 0.377 0.501
O 0.058 0.951 0.495
O 0.940 0.537 0.002
O 0.158 0.558 0.789
O 0.440 0.463 0.998
O 0.658 0.442 0.211
O 0.079 0.123 0.982
O 0.661 0.517 0.785
O 0.161 0.483 0.215
Li 0.163 0.953 0.758
Li 0.666 0.916 0.734
Li 0.663 0.047 0.242
Li 0.335 0.569 0.763
Li 0.166 0.084 0.266
Li 0.835 0.431 0.237
Li 0.334 0.576 0.233
Li 0.834 0.424 0.767
Si 0.084 0.430 0.993
Si 0.584 0.570 0.007
Si 0.917 0.070 0.500
Si 0.417 0.930 0.500
Fe 0.919 0.917 0.002
Fe 0.082 0.573 0.492
Fe 0.582 0.427 0.508
Fe 0.419 0.083 0.998